A plane-wave DFT calculation with PBE-GGA was carried out for a relaxed structure of Na2Zr4Zn4SiS11O48. Values from VASP.

```
&SYSTEM
  ibrav = 0, nat = 210, ntyp = 6
/
ATOMIC_SPECIES
Na 22.99 Na.upf
Zr 91.22 Zr.upf
Zn 65.41 Zn.upf
Si 28.09 Si.upf
S 32.06 S.upf
O 16.00 O.upf
CELL_PARAMETERS angstrom
8.867 0.000 0.000
0.036 15.329 0.000
0.084 0.061 23.068
ATOMIC_POSITIONS angstrom
Na 0.000 0.000 0.000
Na 0.046 0.059 11.310
Na 4.543 7.774 11.575
Na 4.598 7.897 22.942
Na 4.591 13.005 7.897
Na 8.925 5.325 19.198
Zr 8.893 5.249 4.423
Zr 0.100 10.457 18.761
Zr 4.521 12.938 15.842
Zr 4.527 2.727 12.003
Zr 4.528 12.925 4.195
Zr 4.495 2.733 0.462
Zr 4.599 2.768 18.695
Zr 8.851 5.283 10.972
Zr 8.887 5.355 22.540
Zr 8.873 5.282 15.731
Zr 8.878 10.469 7.183
Zr 8.922 10.525 11.968
Zn 0.030 10.462 0.474
Zn 0.087 0.088 19.585
Zn 0.070 0.145 14.948
Zn 4.436 2.657 7.151
Zn 4.464 7.758 8.007
Zn 4.474 7.846 3.448
Zn 4.567 12.883 22.565
Zn 4.585 7.769 14.910
Zn 4.604 7.822 19.660
Zn 4.622 12.990 10.980
Zn 8.877 0.082 8.111
Zn 8.867 0.110 3.542
Si 5.771 5.075 21.092
Si 6.271 5.377 13.401
Si 7.580 12.752 9.559
S 1.315 2.991 13.412
S 1.417 12.686 21.167
S 1.349 2.289 5.748
S 1.399 7.521 13.389
S 1.428 8.236 21.151
S 1.384 13.288 5.714
S 1.932 2.698 21.112
S 1.980 13.015 13.385
S 1.959 7.841 5.733
S 2.590 0.191 17.257
S 2.606 5.297 1.900
S 2.678 10.337 9.568
S 3.127 15.117 1.821
S 3.209 5.654 17.289
S 3.177 0.496 9.537
S 3.188 10.637 1.829
S 3.270 9.987 17.267
S 3.245 4.967 9.539
S 5.675 5.589 5.740
S 5.743 10.712 13.394
S 5.742 10.005 5.734
S 5.833 0.468 21.119
S 5.879 15.135 13.414
S 6.321 0.186 5.730
S 6.394 10.424 21.184
S 7.049 2.684 9.513
S 7.100 7.860 17.295
S 7.102 12.954 1.805
S 7.595 8.182 9.563
S 7.586 7.527 1.922
S 7.699 13.330 17.254
S 7.660 2.979 1.912
S 7.730 2.355 17.278
O 0.709 8.813 13.223
O 0.697 1.677 13.563
O 0.681 1.746 6.930
O 0.785 12.064 22.334
O 0.784 14.024 20.965
O 0.713 3.687 5.497
O 0.742 3.677 12.228
O 0.792 6.845 21.234
O 0.803 8.825 19.918
O 0.821 6.853 14.607
O 0.799 13.825 4.488
O 0.818 11.908 5.895
O 1.052 1.537 20.983
O 1.099 11.837 19.928
O 1.087 14.171 13.574
O 1.113 8.997 22.345
O 1.063 9.000 5.941
O 1.119 3.957 21.257
O 1.066 6.629 5.527
O 1.105 3.836 14.630
O 1.128 6.649 12.212
O 1.161 11.753 13.306
O 1.115 1.512 4.515
O 1.205 14.094 6.909
O 1.719 5.445 17.139
O 1.684 15.302 2.024
O 1.705 0.456 9.472
O 1.729 10.555 1.729
O 1.797 10.210 17.501
O 1.742 5.117 3.089
O 1.777 5.106 9.810
O 1.744 5.444 0.686
O 1.788 10.457 8.366
O 1.796 0.427 16.053
O 1.799 10.147 10.786
O 1.840 15.250 18.462
O 2.781 2.540 22.326
O 2.772 2.884 19.906
O 2.752 7.562 6.929
O 2.741 8.053 4.520
O 2.777 2.875 13.238
O 2.808 13.173 12.201
O 2.830 12.834 14.619
O 2.781 2.531 5.914
O 2.835 7.680 13.539
O 2.866 8.079 20.961
O 2.871 12.775 21.255
O 2.874 13.091 5.527
O 3.418 6.461 18.490
O 3.393 14.289 0.647
O 3.450 9.191 16.057
O 3.443 11.572 9.687
O 3.404 4.042 1.745
O 3.448 4.167 8.347
O 3.517 14.322 17.034
O 3.497 1.354 17.472
O 3.481 6.457 2.020
O 3.517 9.130 9.450
O 3.506 11.505 3.054
O 3.514 1.319 10.771
O 3.743 14.499 3.052
O 3.785 4.267 17.480
O 3.785 6.202 16.067
O 3.785 14.469 9.701
O 3.833 11.377 17.034
O 3.786 1.108 8.347
O 3.757 1.126 1.678
O 3.830 4.300 10.762
O 3.807 9.302 2.036
O 3.811 11.260 0.649
O 3.850 6.317 9.466
O 3.893 9.445 18.471
O 5.118 6.520 21.044
O 5.146 9.395 13.607
O 5.110 6.200 4.524
O 5.146 9.444 6.948
O 5.174 11.350 12.216
O 5.199 4.251 22.405
O 5.143 4.247 5.933
O 5.171 1.135 13.286
O 5.174 11.403 5.570
O 5.237 14.509 21.292
O 5.241 1.142 19.904
O 5.274 14.505 14.645
O 5.373 6.686 13.487
O 5.428 4.002 13.169
O 5.457 14.268 5.517
O 5.439 1.339 5.901
O 5.505 4.090 19.801
O 5.529 9.248 20.971
O 5.528 11.570 14.623
O 5.542 1.366 22.306
O 5.516 9.240 4.514
O 5.622 11.666 21.257
O 5.572 6.450 6.930
O 5.635 14.318 12.236
O 5.974 12.735 9.604
O 6.147 8.019 9.448
O 6.122 7.598 2.031
O 6.225 13.138 17.043
O 6.200 2.526 10.756
O 6.240 2.522 17.409
O 6.183 2.871 1.742
O 6.215 12.787 3.046
O 6.233 2.930 8.344
O 6.232 13.174 0.642
O 6.310 7.595 18.495
O 6.340 8.079 16.076
O 7.104 0.361 4.487
O 7.170 15.208 6.909
O 7.264 10.187 22.344
O 7.198 5.452 5.504
O 7.237 10.581 13.276
O 7.224 10.155 5.896
O 7.258 5.117 14.711
O 7.292 10.568 19.936
O 7.304 0.410 20.985
O 7.327 15.328 13.614
O 7.322 5.502 12.135
O 7.430 5.127 21.241
O 7.859 14.138 18.460
O 7.866 6.629 0.702
O 7.911 8.993 10.772
O 7.890 11.721 1.733
O 7.918 3.906 9.748
O 7.925 1.519 9.451
O 7.914 3.832 3.087
O 7.968 1.607 16.054
O 7.952 14.153 2.016
O 8.002 9.040 17.509
O 7.980 11.752 8.281
O 8.035 6.660 17.143
O 8.188 8.793 8.356
O 8.180 6.811 3.093
O 8.250 11.923 10.867
O 8.276 11.960 17.462
O 8.287 1.768 18.498
O 8.224 3.658 0.694
O 8.266 6.854 9.705
O 8.238 8.801 1.727
O 8.309 13.883 16.050
O 8.262 1.658 2.019
O 8.317 3.751 17.170
O 8.363 14.148 9.515
```

Computed properties:
Total magnetization = 0.00 μB per atom
Formation enthalpy at 0 K = -159.89 eV per formula unit
E (MP2020) = -7.00 eV per atom

---

A plane-wave DFT calculation with PBE-GGA was carried out for a relaxed structure of TeMoWSeS2. Values from VASP.

```
&SYSTEM
  ibrav = 0, nat = 12, ntyp = 5
/
ATOMIC_SPECIES
Te 127.60 Te.upf
Mo 95.94 Mo.upf
W 183.84 W.upf
Se 78.96 Se.upf
S 32.06 S.upf
CELL_PARAMETERS angstrom
3.309 0.000 0.000
-1.655 2.866 0.000
0.000 0.000 37.714
ATOMIC_POSITIONS angstrom
Te 0.000 0.000 0.000
Te 0.000 0.000 3.841
Mo 0.000 0.000 18.378
Mo 0.000 0.000 32.547
W 0.000 1.911 1.921
W 0.000 1.911 25.463
Se 0.000 1.911 30.875
Se 0.000 1.911 34.220
S 0.000 0.000 23.931
S 0.000 0.000 26.995
S 0.000 1.911 16.847
S 0.000 1.911 19.909
```

Computed properties:
Total magnetization = 0.00 μB per atom
Formation enthalpy at 0 K = -4.33 eV per formula unit
E (MP2020) = -7.17 eV per atom
Energy relative to the lowest polymorph listed for this composition = 0.038 eV per atom

---

A plane-wave DFT calculation with PBE-GGA was carried out for a relaxed structure of Pr23Mg4Pt7. Values from VASP.

```
&SYSTEM
  ibrav = 0, nat = 68, ntyp = 3
/
ATOMIC_SPECIES
Pr 140.91 Pr.upf
Mg 24.30 Mg.upf
Pt 195.08 Pt.upf
CELL_PARAMETERS angstrom
10.228 0.000 0.000
-5.114 8.857 0.000
0.000 0.000 23.108
ATOMIC_POSITIONS angstrom
Pr 0.000 0.000 1.215
Pr 0.000 0.000 12.769
Pr -1.966 4.770 3.217
Pr -1.888 4.815 9.484
Pr 0.000 2.290 15.926
Pr -3.131 7.713 15.926
Pr 0.000 3.579 19.336
Pr -2.015 7.068 19.336
Pr 0.000 3.649 6.336
Pr 0.000 3.656 0.000
Pr -1.948 7.030 0.000
Pr -1.953 7.033 6.336
Pr 0.000 3.753 12.576
Pr -1.864 6.981 12.576
Pr 1.983 1.145 4.372
Pr 0.000 5.905 16.104
Pr 3.099 1.789 7.782
Pr 3.160 1.825 17.890
Pr 3.166 1.828 11.554
Pr 3.250 1.876 1.022
Pr 1.888 4.815 9.484
Pr 0.000 8.085 9.484
Pr 1.966 4.770 3.217
Pr 0.000 8.175 3.217
Pr 5.114 0.682 14.771
Pr 3.148 4.088 14.771
Pr 5.114 0.773 21.038
Pr 3.226 4.042 21.038
Pr 1.864 6.981 12.576
Pr 1.948 7.030 0.000
Pr 1.953 7.033 6.336
Pr 2.015 7.068 19.336
Pr 5.114 2.952 4.550
Pr 3.131 7.713 15.926
Pr 6.978 1.876 1.022
Pr 5.114 5.105 1.022
Pr 7.062 1.828 11.554
Pr 7.067 1.825 17.890
Pr 5.114 5.202 11.554
Pr 5.114 5.208 17.890
Pr 7.129 1.789 7.782
Pr 5.114 5.279 7.782
Pr 8.245 1.145 4.372
Pr 5.114 6.568 4.372
Pr 7.001 4.042 21.038
Pr 7.080 4.088 14.771
Mg 0.000 0.000 7.020
Mg 0.000 0.000 18.573
Mg 0.000 1.878 9.637
Mg -3.488 7.919 9.637
Mg 1.626 0.939 21.191
Mg 3.488 7.919 9.637
Mg 8.602 0.939 21.191
Mg 5.114 6.980 21.191
Pt -2.214 4.627 17.659
Pt 0.000 2.540 2.745
Pt -2.914 7.587 2.745
Pt 2.200 1.270 14.299
Pt 0.000 5.905 21.165
Pt 2.214 4.627 17.659
Pt 0.000 8.462 17.659
Pt 5.114 0.396 6.105
Pt 2.900 4.231 6.105
Pt 5.114 2.952 9.611
Pt 2.914 7.587 2.745
Pt 8.028 1.270 14.299
Pt 5.114 6.317 14.299
Pt 7.328 4.231 6.105
```

Computed properties:
Total magnetization = 0.00 μB per atom
Formation enthalpy at 0 K = -18.01 eV per formula unit